Density functional theory data (PBE) for crystalline Na21In5O15 at its relaxed geometry.

Summary:
- Crystal system: monoclinic
- Space-group type: Cm (8)

Cell: 9.706 9.706 9.695 Å, 70.12 70.12 108.54°
Fractional positions:
Na (0.441, 0.441, 0.272)
Na (0.571, 0.776, 0.988)
Na (0.213, 0.213, 0.219)
Na (0.268, 0.546, 0.016)
Na (0.000, 0.302, 0.438)
Na (0.457, 0.754, 0.522)
Na (0.216, 0.433, 0.568)
Na (0.775, 0.981, 0.456)
Na (0.224, 0.785, 0.788)
Na (0.554, 0.007, 0.720)
Na (0.260, 0.719, 0.279)
Na (0.007, 0.554, 0.720)
Na (0.719, 0.260, 0.279)
Na (0.785, 0.224, 0.788)
Na (0.776, 0.571, 0.988)
Na (0.433, 0.216, 0.568)
Na (0.981, 0.775, 0.456)
Na (0.546, 0.268, 0.016)
Na (0.754, 0.457, 0.522)
Na (0.302, 0.000, 0.438)
Na (0.473, 0.473, 0.775)
In (0.992, 0.992, 0.698)
In (0.991, 0.991, 0.998)
In (0.008, 0.295, 0.993)
In (0.295, 0.008, 0.993)
In (0.697, 0.697, 0.284)
O (0.793, 0.025, 0.694)
O (0.477, 0.477, 0.020)
O (0.209, 0.209, 0.488)
O (0.330, 0.805, 0.988)
O (0.462, 0.668, 0.315)
O (0.493, 0.002, 0.521)
O (0.993, 0.264, 0.222)
O (0.224, 0.525, 0.786)
O (0.805, 0.330, 0.988)
O (0.002, 0.493, 0.521)
O (0.668, 0.462, 0.315)
O (0.025, 0.793, 0.694)
O (0.264, 0.993, 0.222)
O (0.525, 0.224, 0.786)
O (0.705, 0.705, 0.497)

Density functional theory data (PBE) for crystalline NaInP2O7 at its relaxed geometry.

Summary:
- Crystal system: monoclinic
- Space-group type: P2_1/c (14)

Cell: 8.357 7.590 9.951 Å, 68.02 90.00 90.00°
Fractional positions:
Na (0.526, 0.284, 0.715)
Na (0.974, 0.284, 0.215)
Na (0.026, 0.716, 0.785)
Na (0.474, 0.716, 0.285)
In (0.496, 0.746, 0.751)
In (0.996, 0.254, 0.749)
In (0.504, 0.254, 0.249)
In (0.004, 0.746, 0.251)
P (0.285, 0.327, 0.950)
P (0.753, 0.074, 0.041)
P (0.253, 0.926, 0.459)
P (0.247, 0.926, 0.959)
P (0.747, 0.074, 0.541)
P (0.715, 0.673, 0.050)
P (0.785, 0.673, 0.550)
P (0.215, 0.327, 0.450)
O (0.112, 0.374, 0.893)
O (0.591, 0.030, 0.630)
O (0.091, 0.970, 0.870)
O (0.409, 0.970, 0.370)
O (0.909, 0.030, 0.130)
O (0.834, 0.872, 0.568)
O (0.334, 0.128, 0.932)
O (0.166, 0.128, 0.432)
O (0.632, 0.181, 0.093)
O (0.132, 0.819, 0.407)
O (0.368, 0.819, 0.907)
O (0.868, 0.181, 0.593)
O (0.779, 0.173, 0.877)
O (0.279, 0.827, 0.623)
O (0.221, 0.827, 0.123)
O (0.721, 0.173, 0.377)
O (0.792, 0.697, 0.391)
O (0.292, 0.303, 0.109)
O (0.208, 0.303, 0.609)
O (0.410, 0.459, 0.851)
O (0.888, 0.626, 0.107)
O (0.388, 0.374, 0.393)
O (0.708, 0.697, 0.891)
O (0.612, 0.626, 0.607)
O (0.090, 0.459, 0.351)
O (0.590, 0.541, 0.149)
O (0.910, 0.541, 0.649)
O (0.666, 0.872, 0.068)

Density functional theory data (PBE) for crystalline Na3In2P3O12 at its relaxed geometry.

Summary:
- Energy relative to the lowest polymorph listed for this composition: 0.46 eV per formula unit
- Crystal system: monoclinic
- Space-group type: Cc (9)

Cell: 9.107 9.107 22.796 Å, 89.91 90.09 119.98°
Fractional positions:
Na (0.000, 0.000, 0.500)
Na (0.000, 0.000, 0.000)
Na (0.643, 0.321, 0.833)
Na (0.679, 0.357, 0.333)
Na (0.334, 0.667, 0.167)
Na (0.333, 0.666, 0.667)
Na (0.635, 0.000, 0.250)
Na (0.365, 0.364, 0.250)
Na (0.636, 0.635, 0.750)
Na (0.000, 0.365, 0.750)
Na (0.031, 0.698, 0.583)
Na (0.666, 0.968, 0.583)
Na (0.302, 0.969, 0.083)
Na (0.032, 0.334, 0.083)
Na (0.967, 0.665, 0.918)
Na (0.698, 0.030, 0.917)
Na (0.970, 0.302, 0.417)
Na (0.335, 0.033, 0.418)
In (0.993, 0.990, 0.349)
In (0.010, 0.007, 0.849)
In (0.010, 0.007, 0.651)
In (0.993, 0.990, 0.151)
In (0.658, 0.327, 0.682)
In (0.673, 0.342, 0.182)
In (0.661, 0.337, 0.984)
In (0.663, 0.339, 0.484)
In (0.341, 0.664, 0.016)
In (0.336, 0.659, 0.516)
In (0.330, 0.666, 0.317)
In (0.334, 0.670, 0.817)
P (0.299, 0.000, 0.250)
P (0.700, 0.701, 0.251)
P (0.000, 0.296, 0.250)
P (0.299, 0.300, 0.751)
P (0.000, 0.701, 0.750)
P (0.704, 0.000, 0.750)
P (0.963, 0.334, 0.583)
P (0.367, 0.033, 0.581)
P (0.668, 0.634, 0.586)
P (0.967, 0.633, 0.081)
P (0.666, 0.037, 0.083)
P (0.366, 0.332, 0.086)
P (0.633, 0.668, 0.914)
P (0.034, 0.367, 0.917)
P (0.334, 0.964, 0.919)
P (0.633, 0.966, 0.417)
P (0.332, 0.367, 0.414)
P (0.036, 0.666, 0.419)
O (0.219, 0.030, 0.305)
O (0.806, 0.779, 0.306)
O (0.970, 0.187, 0.305)
O (0.221, 0.194, 0.806)
O (0.970, 0.781, 0.805)
O (0.813, 0.030, 0.805)
O (0.785, 0.971, 0.694)
O (0.186, 0.223, 0.696)
O (0.024, 0.805, 0.693)
O (0.777, 0.814, 0.196)
O (0.029, 0.215, 0.194)
O (0.195, 0.976, 0.193)
O (0.883, 0.364, 0.639)
O (0.484, 0.116, 0.634)
O (0.643, 0.533, 0.643)
O (0.884, 0.516, 0.134)
O (0.636, 0.117, 0.139)
O (0.467, 0.357, 0.143)
O (0.449, 0.299, 0.032)
O (0.866, 0.557, 0.024)
O (0.697, 0.148, 0.028)
O (0.443, 0.134, 0.524)
O (0.701, 0.551, 0.532)
O (0.852, 0.303, 0.528)
O (0.551, 0.702, 0.968)
O (0.138, 0.448, 0.973)
O (0.303, 0.856, 0.975)
O (0.552, 0.862, 0.473)
O (0.298, 0.449, 0.468)
O (0.144, 0.697, 0.475)
O (0.119, 0.632, 0.365)
O (0.523, 0.886, 0.362)
O (0.358, 0.468, 0.357)
O (0.114, 0.477, 0.862)
O (0.368, 0.881, 0.865)
O (0.532, 0.642, 0.857)
O (0.028, 0.831, 0.412)
O (0.815, 0.995, 0.413)
O (0.170, 0.187, 0.411)
O (0.005, 0.185, 0.913)
O (0.169, 0.972, 0.912)
O (0.813, 0.830, 0.911)
O (0.973, 0.169, 0.588)
O (0.187, 0.006, 0.587)
O (0.830, 0.813, 0.589)
O (0.994, 0.813, 0.087)
O (0.831, 0.027, 0.088)
O (0.187, 0.170, 0.089)
O (0.692, 0.164, 0.745)
O (0.480, 0.328, 0.745)
O (0.836, 0.522, 0.746)
O (0.672, 0.520, 0.245)
O (0.836, 0.308, 0.245)
O (0.478, 0.164, 0.246)
O (0.659, 0.513, 0.920)
O (0.855, 0.352, 0.921)
O (0.496, 0.139, 0.923)
O (0.648, 0.145, 0.421)
O (0.487, 0.341, 0.420)
O (0.861, 0.504, 0.423)
O (0.340, 0.487, 0.080)
O (0.146, 0.649, 0.078)
O (0.504, 0.862, 0.078)
O (0.351, 0.854, 0.578)
O (0.513, 0.660, 0.580)
O (0.138, 0.496, 0.578)
O (0.327, 0.846, 0.254)
O (0.521, 0.685, 0.255)
O (0.163, 0.472, 0.254)
O (0.315, 0.479, 0.755)
O (0.154, 0.673, 0.754)
O (0.528, 0.837, 0.754)

Density functional theory data (PBE) for crystalline Na3In2P3O12 at its relaxed geometry.

Summary:
- Energy relative to the lowest polymorph listed for this composition: 0.00 eV per formula unit
- Crystal system: monoclinic
- Space-group type: C2/c (15)

Cell: 9.054 9.054 6.706 Å, 73.29 73.29 91.58°
Fractional positions:
Na (0.725, 0.275, 0.250)
Na (0.017, 0.983, 0.250)
Na (0.500, 0.500, 0.500)
Na (0.983, 0.017, 0.750)
Na (0.275, 0.725, 0.750)
Na (0.500, 0.500, 0.000)
In (0.616, 0.929, 0.154)
In (0.384, 0.071, 0.846)
In (0.929, 0.616, 0.654)
In (0.071, 0.384, 0.346)
P (0.341, 0.138, 0.367)
P (0.138, 0.341, 0.867)
P (0.275, 0.725, 0.250)
P (0.725, 0.275, 0.750)
P (0.862, 0.659, 0.133)
P (0.659, 0.862, 0.633)
O (0.260, 0.562, 0.218)
O (0.438, 0.740, 0.282)
O (0.740, 0.438, 0.782)
O (0.562, 0.260, 0.718)
O (0.153, 0.745, 0.456)
O (0.255, 0.847, 0.044)
O (0.847, 0.255, 0.544)
O (0.745, 0.153, 0.956)
O (0.666, 0.990, 0.416)
O (0.010, 0.334, 0.084)
O (0.334, 0.010, 0.584)
O (0.990, 0.666, 0.916)
O (0.832, 0.836, 0.620)
O (0.164, 0.168, 0.880)
O (0.168, 0.164, 0.380)
O (0.836, 0.832, 0.120)
O (0.713, 0.558, 0.172)
O (0.442, 0.287, 0.328)
O (0.287, 0.442, 0.828)
O (0.558, 0.713, 0.672)
O (0.935, 0.594, 0.324)
O (0.406, 0.065, 0.176)
O (0.065, 0.406, 0.676)
O (0.594, 0.935, 0.824)

no.,uncorrected energy (Ha/atom),calculated volume (Å³/f.u.)
1,-0.1490,704
2,-0.2444,146
3,-0.2340,273
4,-0.2348,250